# 1
NaCaTaP2SO12: optimized geometry, GGA-PBE.

Lattice parameters (Å, degrees): 8.9889 8.9889 22.9680 90.59 89.41 120.04
Last column: nearest neighbours and their distance in Å.
Sites, in units of the cell vectors:
Na1 0.9836 0.9772 0.4932  5 O 2.49-2.77
Na2 0.0228 0.0164 0.9932  5 O 2.49-2.77
Na3 0.6503 0.3105 0.8265  5 O 2.49-2.77
Na4 0.6895 0.3497 0.3265  5 O 2.49-2.77
Na5 0.3169 0.6439 0.1599  5 O 2.49-2.77
Na6 0.3561 0.6831 0.6599  5 O 2.49-2.77
Ca1 0.9937 0.9958 0.3551  6 O 2.12-2.29
Ca2 0.0042 0.0063 0.8551  6 O 2.12-2.29
Ca3 0.6604 0.3291 0.6884  6 O 2.12-2.29
Ca4 0.6709 0.3396 0.1884  6 O 2.12-2.29
Ca5 0.3270 0.6624 0.0218  6 O 2.12-2.29
Ca6 0.3376 0.6730 0.5218  6 O 2.12-2.29
Ta1 0.9989 0.0049 0.6470  6 O 1.98-2.13
Ta2 0.9951 0.0011 0.1470  6 O 1.98-2.13
Ta3 0.6656 0.3382 0.9803  6 O 1.98-2.13
Ta4 0.6618 0.3344 0.4803  6 O 1.98-2.13
Ta5 0.3322 0.6716 0.3136  6 O 1.98-2.13
Ta6 0.3284 0.6678 0.8136  6 O 1.98-2.13
P1 0.6985 0.7138 0.2516  4 O 1.48-1.64
P2 0.0143 0.2994 0.2526  4 O 1.48-1.63
P3 0.2862 0.3015 0.7516  4 O 1.48-1.64
P4 0.7006 0.9857 0.7526  4 O 1.48-1.63
P5 0.3652 0.0471 0.5850  4 O 1.48-1.64
P6 0.6810 0.6328 0.5860  4 O 1.48-1.63
P7 0.9529 0.6348 0.0850  4 O 1.48-1.64
P8 0.3672 0.3190 0.0860  4 O 1.48-1.63
P9 0.0319 0.3804 0.9183  4 O 1.48-1.64
P10 0.3476 0.9661 0.9193  4 O 1.48-1.63
P11 0.6196 0.9681 0.4183  4 O 1.48-1.64
P12 0.0339 0.6524 0.4193  4 O 1.48-1.63
S1 0.2830 0.9846 0.2498  4 O 1.44-1.54
S2 0.0154 0.7170 0.7498  4 O 1.44-1.54
S3 0.9497 0.3180 0.5831  4 O 1.44-1.54
S4 0.6820 0.0503 0.0831  4 O 1.44-1.54
S5 0.6164 0.6513 0.9164  4 O 1.44-1.54
S6 0.3487 0.3836 0.4164  4 O 1.44-1.54
O1 0.2112 0.0091 0.3027  1 S 1.44
O2 0.8030 0.7919 0.3045  1 P 1.48
O3 0.0020 0.2016 0.3057  1 P 1.48
O4 0.2081 0.1970 0.8045  1 P 1.48
O5 0.9909 0.7888 0.8027  1 S 1.44
O6 0.7984 0.9980 0.8057  1 P 1.48
O7 0.8006 0.9664 0.6958  1 P 1.63
O8 0.1645 0.1995 0.6959  1 P 1.64
O9 0.0375 0.8284 0.6970  1 S 1.53
O10 0.8005 0.8355 0.1959  1 P 1.64
O11 0.0336 0.1994 0.1958  1 P 1.63
O12 0.1716 0.9625 0.1970  1 S 1.53
O13 0.8779 0.3424 0.6361  1 S 1.44
O14 0.4696 0.1253 0.6378  1 P 1.48
O15 0.6687 0.5349 0.6390  1 P 1.48
O16 0.8747 0.5304 0.1378  1 P 1.48
O17 0.6576 0.1221 0.1361  1 S 1.44
O18 0.4651 0.3313 0.1390  1 P 1.48
O19 0.4673 0.2997 0.0291  1 P 1.63
O20 0.8312 0.5328 0.0292  1 P 1.64
O21 0.7041 0.1617 0.0303  1 S 1.53
O22 0.4672 0.1688 0.5292  1 P 1.64
O23 0.7003 0.5327 0.5291  1 P 1.63
O24 0.8383 0.2959 0.5303  1 S 1.53
O25 0.5446 0.6758 0.9694  1 S 1.44
O26 0.1363 0.4586 0.9712  1 P 1.48
O27 0.3354 0.8682 0.9723  1 P 1.48
O28 0.5414 0.8637 0.4712  1 P 1.48
O29 0.3242 0.4554 0.4694  1 S 1.44
O30 0.1318 0.6646 0.4723  1 P 1.48
O31 0.1339 0.6330 0.3624  1 P 1.63
O32 0.4978 0.8661 0.3625  1 P 1.64
O33 0.3708 0.4951 0.3636  1 S 1.53
O34 0.1339 0.5022 0.8625  1 P 1.64
O35 0.3670 0.8661 0.8624  1 P 1.63
O36 0.5049 0.6292 0.8636  1 S 1.53
O37 0.0014 0.8001 0.4121  1 P 1.51
O38 0.8039 0.0134 0.4106  1 P 1.50
O39 0.2133 0.2075 0.4082  1 S 1.45
O40 0.9866 0.1961 0.9106  1 P 1.50
O41 0.1999 0.9986 0.9121  1 P 1.51
O42 0.7925 0.7867 0.9082  1 S 1.45
O43 0.9502 0.1470 0.5872  1 S 1.54
O44 0.1879 0.0480 0.5908  1 P 1.60
O45 0.8557 0.8146 0.5904  1 P 1.61
O46 0.9520 0.8121 0.0908  1 P 1.60
O47 0.8530 0.0498 0.0872  1 S 1.54
O48 0.1854 0.1443 0.0904  1 P 1.61
O49 0.6680 0.1335 0.7454  1 P 1.51
O50 0.4706 0.3467 0.7439  1 P 1.50
O51 0.8799 0.5408 0.7415  1 S 1.45
O52 0.6533 0.5294 0.2439  1 P 1.50
O53 0.8665 0.3320 0.2454  1 P 1.51
O54 0.4592 0.1201 0.2415  1 S 1.45
O55 0.6168 0.4803 0.9205  1 S 1.54
O56 0.8545 0.3813 0.9241  1 P 1.60
O57 0.5224 0.1480 0.9237  1 P 1.61
O58 0.6187 0.1455 0.4241  1 P 1.60
O59 0.5197 0.3832 0.4205  1 S 1.54
O60 0.8520 0.4776 0.4237  1 P 1.61
O61 0.3347 0.4668 0.0788  1 P 1.51
O62 0.1373 0.6800 0.0772  1 P 1.50
O63 0.5466 0.8742 0.0749  1 S 1.45
O64 0.3200 0.8627 0.5772  1 P 1.50
O65 0.5332 0.6653 0.5788  1 P 1.51
O66 0.1258 0.4534 0.5749  1 S 1.45
O67 0.2835 0.8137 0.2539  1 S 1.54
O68 0.5212 0.7146 0.2574  1 P 1.60
O69 0.1890 0.4813 0.2570  1 P 1.61
O70 0.2854 0.4788 0.7574  1 P 1.60
O71 0.1863 0.7165 0.7539  1 S 1.54
O72 0.5187 0.8110 0.7570  1 P 1.61

Output
Raw total energy   -7.24 eV/atom
Total moment   0.00 μB/f.u.

=====

# 2
Ag2S: optimized geometry, GGA-PBE.

Lattice parameters (Å, degrees): 4.3157 4.3157 6.7785 90.00 90.00 111.29
Last column: nearest neighbours and their distance in Å.
Sites, in units of the cell vectors:
Ag1 0.3423 0.6577 0.8635  4 S 2.61-2.84, 3 Ag 2.88-2.91
Ag2 0.1577 0.8423 0.3635  4 S 2.61-2.84, 3 Ag 2.88-2.91
Ag3 0.8423 0.1577 0.6365  4 S 2.61-2.84, 3 Ag 2.88-2.91
Ag4 0.6577 0.3423 0.1365  4 S 2.61-2.84, 3 Ag 2.88-2.91
S1 0.0000 0.0000 0.0000  8 Ag 2.61-2.84
S2 0.5000 0.5000 0.5000  8 Ag 2.61-2.84

Output
Raw total energy   -3.23 eV/atom
Total moment   0.00 μB/f.u.

=====

# 3
LiTiP4O12: optimized geometry, GGA-PBE.

Lattice parameters (Å, degrees): 7.6233 7.6233 17.1372 90.00 90.00 100.87
Last column: nearest neighbours and their distance in Å.
Sites, in units of the cell vectors:
Li1 0.1981 0.0934 0.6378  3 O 1.83-2.00
Li2 0.9066 0.8019 0.8622  3 O 1.83-2.00
Li3 0.8019 0.9066 0.1378  3 O 1.83-2.00
Li4 0.0934 0.1981 0.3622  3 O 1.83-2.00
Ti1 0.5816 0.9710 0.8693  5 O 1.99-2.19
Ti2 0.0290 0.4184 0.6307  5 O 1.99-2.19
Ti3 0.4184 0.0290 0.3693  5 O 1.99-2.19
Ti4 0.9710 0.5816 0.1307  5 O 1.99-2.19
P1 0.0352 0.7594 0.3426  4 O 1.47-1.62
P2 0.2406 0.9648 0.1574  4 O 1.47-1.62
P3 0.3079 0.7814 0.0122  4 O 1.50-1.63
P4 0.2186 0.6921 0.4878  4 O 1.50-1.63
P5 0.3760 0.6240 0.7500  4 O 1.51-1.60
P6 0.2547 0.3389 0.1908  4 O 1.48-1.62
P7 0.6611 0.7453 0.3092  4 O 1.48-1.62
P8 0.3533 0.3533 0.5000  4 O 1.52-1.59
P9 0.6467 0.6467 0.0000  4 O 1.52-1.59
P10 0.3389 0.2547 0.8092  4 O 1.48-1.62
P11 0.7453 0.6611 0.6908  4 O 1.48-1.62
P12 0.6240 0.3760 0.2500  4 O 1.51-1.60
P13 0.7814 0.3079 0.9878  4 O 1.50-1.63
P14 0.6921 0.2186 0.5122  4 O 1.50-1.63
P15 0.7594 0.0352 0.6574  4 O 1.47-1.62
P16 0.9648 0.2406 0.8426  4 O 1.47-1.62
O1 0.0505 0.8598 0.1458  1 P 1.53
O2 0.1402 0.9495 0.3542  1 P 1.53
O3 0.3421 0.9585 0.2302  1 P 1.47
O4 0.0415 0.6579 0.2698  1 P 1.47
O5 0.1203 0.6798 0.0187  1 P 1.50
O6 0.3202 0.8797 0.4813  1 P 1.50
O7 0.0901 0.6392 0.4134  2 P 1.61-1.62
O8 0.3608 0.9099 0.0866  2 P 1.61-1.62
O9 0.1100 0.6389 0.5601  1 P 1.50
O10 0.3611 0.8900 0.9399  1 P 1.50
O11 0.4141 0.7942 0.7969  1 P 1.51
O12 0.2058 0.5859 0.7031  1 P 1.51
O13 0.5132 0.8054 0.3540  1 P 1.50
O14 0.1946 0.4868 0.1460  1 P 1.50
O15 0.4440 0.6420 0.0229  2 P 1.59-1.63
O16 0.3580 0.5560 0.4771  2 P 1.59-1.63
O17 0.7791 0.8337 0.6335  2 P 1.62
O18 0.1663 0.2209 0.8665  2 P 1.62
O19 0.5297 0.6107 0.6881  2 P 1.60-1.62
O20 0.3893 0.4703 0.8119  2 P 1.60-1.62
O21 0.2375 0.3055 0.5717  1 P 1.52
O22 0.6945 0.7625 0.9283  1 P 1.52
O23 0.1831 0.2965 0.2700  1 P 1.48
O24 0.7035 0.8169 0.2300  1 P 1.48
O25 0.2965 0.1831 0.7300  1 P 1.48
O26 0.8169 0.7035 0.7700  1 P 1.48
O27 0.3055 0.2375 0.4283  1 P 1.52
O28 0.7625 0.6945 0.0717  1 P 1.52
O29 0.6107 0.5297 0.3119  2 P 1.60-1.62
O30 0.4703 0.3893 0.1881  2 P 1.60-1.62
O31 0.2209 0.1663 0.1335  2 P 1.62
O32 0.8337 0.7791 0.3665  2 P 1.62
O33 0.6420 0.4440 0.9771  2 P 1.59-1.63
O34 0.5560 0.3580 0.5229  2 P 1.59-1.63
O35 0.8054 0.5132 0.6460  1 P 1.50
O36 0.4868 0.1946 0.8540  1 P 1.50
O37 0.7942 0.4141 0.2031  1 P 1.51
O38 0.5859 0.2058 0.2969  1 P 1.51
O39 0.6389 0.1100 0.4399  1 P 1.50
O40 0.8900 0.3611 0.0601  1 P 1.50
O41 0.6392 0.0901 0.5866  2 P 1.61-1.62
O42 0.9099 0.3608 0.9134  2 P 1.61-1.62
O43 0.6798 0.1203 0.9813  1 P 1.50
O44 0.8797 0.3202 0.5187  1 P 1.50
O45 0.6579 0.0415 0.7302  1 P 1.47
O46 0.9585 0.3421 0.7698  1 P 1.47
O47 0.9495 0.1402 0.6458  1 P 1.53
O48 0.8598 0.0505 0.8542  1 P 1.53

Output
Raw total energy   -7.27 eV/atom
Energy relative to the lowest polymorph listed for this composition   0.076 eV/atom
Total moment   1.00 μB/f.u.

=====

# 4
Na2UI6: optimized geometry, GGA-PBE.

Lattice parameters (Å, degrees): 8.6920 8.6920 8.6920 54.15 54.15 54.15
Last column: nearest neighbours and their distance in Å.
Sites, in units of the cell vectors:
Na1 0.3292 0.3292 0.3292  6 I 3.26-3.27
Na2 0.6708 0.6708 0.6708  6 I 3.26-3.27
U1 0.0000 0.0000 0.0000  6 I 3.03
I1 0.2342 0.6139 0.9110  1 U 3.03, 2 Na 3.26-3.27
I2 0.6139 0.9110 0.2342  1 U 3.03, 2 Na 3.26-3.27
I3 0.9110 0.2342 0.6139  1 U 3.03, 2 Na 3.26-3.27
I4 0.7658 0.3861 0.0890  1 U 3.03, 2 Na 3.26-3.27
I5 0.3861 0.0890 0.7658  1 U 3.03, 2 Na 3.26-3.27
I6 0.0890 0.7658 0.3861  1 U 3.03, 2 Na 3.26-3.27

Output
Raw total energy   -3.62 eV/atom
Energy relative to the lowest polymorph listed for this composition   0.000 eV/atom

=====

- Look up the raw total energy of the third one.
  -7.27 eV/atom

=====

- Which of these has the highest raw total energy?
  Ag2S

=====

Copy entry 4 word for word.
Na2UI6: optimized geometry, GGA-PBE.

Lattice parameters (Å, degrees): 8.6920 8.6920 8.6920 54.15 54.15 54.15
Last column: nearest neighbours and their distance in Å.
Sites, in units of the cell vectors:
Na1 0.3292 0.3292 0.3292  6 I 3.26-3.27
Na2 0.6708 0.6708 0.6708  6 I 3.26-3.27
U1 0.0000 0.0000 0.0000  6 I 3.03
I1 0.2342 0.6139 0.9110  1 U 3.03, 2 Na 3.26-3.27
I2 0.6139 0.9110 0.2342  1 U 3.03, 2 Na 3.26-3.27
I3 0.9110 0.2342 0.6139  1 U 3.03, 2 Na 3.26-3.27
I4 0.7658 0.3861 0.0890  1 U 3.03, 2 Na 3.26-3.27
I5 0.3861 0.0890 0.7658  1 U 3.03, 2 Na 3.26-3.27
I6 0.0890 0.7658 0.3861  1 U 3.03, 2 Na 3.26-3.27

Output
Raw total energy   -3.62 eV/atom
Energy relative to the lowest polymorph listed for this composition   0.000 eV/atom